# 1
Entry from the Materials Project: a geometry-optimized Mn2Ga5 structure (GGA-PBE).

* symmetry: No. 127
* spin magnetization: 4.53 μB/f.u.

```
Mn2Ga5
1.0
8.847 0.000 0.000
0.000 8.847 0.000
0.000 0.000 2.702
Mn Ga
4 10
direct
0.679 0.179 0.500
0.821 0.679 0.500
0.321 0.821 0.500
0.179 0.321 0.500
0.707 0.435 0.000
0.500 0.000 0.000
0.065 0.793 0.000
0.793 0.935 0.000
0.565 0.707 0.000
0.293 0.565 0.000
0.207 0.065 0.000
0.000 0.500 0.000
0.435 0.293 0.000
0.935 0.207 0.000
```


# 2
Entry from the Materials Project: a geometry-optimized MnGa2N3 structure (GGA-PBE).

* symmetry: No. 36
* spin magnetization: 4.00 μB/f.u.

```
MnGa2N3
1.0
5.635 0.039 0.000
-2.783 4.821 0.000
0.000 0.000 5.208
N Mn Ga
6 2 4
direct
0.000 0.324 0.362
0.663 0.000 0.872
0.337 0.337 0.872
0.337 0.000 0.372
0.000 0.676 0.862
0.663 0.663 0.372
0.000 0.344 0.992
0.000 0.656 0.492
0.337 0.333 0.495
0.337 0.004 0.995
0.663 0.996 0.495
0.663 0.667 0.995
```


# 3
Entry from the Materials Project: a geometry-optimized MnGaN2 structure (GGA-PBE).

* symmetry: No. 61
* distance to the lowest polymorph of the same formula: 0 meV per atom
* spin magnetization: 2.50 μB/f.u.

```
MnGaN2
1.0
-2.067 -0.435 -4.849
-2.978 -10.186 2.184
-11.533 4.342 4.527
Mn N Ga
16 32 16
direct
0.311 0.300 0.193
0.849 0.454 0.440
0.689 0.800 0.307
0.151 0.546 0.560
0.811 0.200 0.807
0.189 0.800 0.193
0.651 0.546 0.940
0.849 0.046 0.940
0.651 0.954 0.440
0.349 0.046 0.560
0.151 0.954 0.060
0.689 0.700 0.807
0.311 0.200 0.693
0.349 0.454 0.060
0.811 0.300 0.307
0.189 0.700 0.693
0.817 0.794 0.445
0.720 0.024 0.807
0.207 0.469 0.432
0.147 0.278 0.815
0.793 0.531 0.568
0.353 0.778 0.815
0.853 0.722 0.185
0.683 0.294 0.445
0.183 0.294 0.055
0.293 0.531 0.932
0.280 0.524 0.693
0.707 0.469 0.068
0.183 0.206 0.555
0.147 0.222 0.315
0.780 0.976 0.307
0.683 0.206 0.945
0.293 0.969 0.432
0.647 0.278 0.685
0.220 0.024 0.693
0.647 0.222 0.185
0.207 0.031 0.932
0.280 0.976 0.193
0.220 0.476 0.193
0.817 0.706 0.945
0.317 0.794 0.055
0.317 0.706 0.555
0.353 0.722 0.315
0.780 0.524 0.807
0.707 0.031 0.568
0.720 0.476 0.307
0.853 0.778 0.685
0.793 0.969 0.068
0.378 0.956 0.815
0.122 0.044 0.315
0.878 0.956 0.685
0.378 0.544 0.315
0.187 0.793 0.437
0.313 0.293 0.437
0.878 0.544 0.185
0.622 0.044 0.185
0.687 0.793 0.063
0.622 0.456 0.685
0.187 0.707 0.937
0.313 0.207 0.937
0.122 0.456 0.815
0.813 0.293 0.063
0.687 0.707 0.563
0.813 0.207 0.563
```


# 4
Entry from the Materials Project: a geometry-optimized Mn3Ga2N4 structure (GGA-PBE).

* symmetry: No. 15
* spin magnetization: 3.02 μB/f.u.

```
Mn3Ga2N4
1.0
-5.077 1.678 4.124
-1.001 -4.574 -4.638
0.057 -3.704 3.641
Ga Mn N
4 6 8
direct
0.602 0.437 0.234
0.398 0.563 0.766
0.398 0.835 0.266
0.602 0.165 0.734
0.000 0.433 0.250
0.158 0.970 0.868
0.158 0.188 0.368
0.000 0.567 0.750
0.842 0.030 0.132
0.842 0.812 0.632
0.811 0.752 0.000
0.210 0.494 0.487
0.189 0.248 0.000
0.811 0.059 0.500
0.189 0.941 0.500
0.210 0.716 0.987
0.790 0.506 0.513
0.790 0.284 0.013
```


# 5
Entry from the Materials Project: a geometry-optimized Mn3GaN structure (GGA-PBE).

* symmetry: No. 221

```
Mn3GaN
1.0
3.781 0.000 0.000
0.000 3.781 0.000
0.000 0.000 3.781
Mn N Ga
3 1 1
direct
0.000 0.500 0.500
0.500 0.500 0.000
0.500 0.000 0.500
0.500 0.500 0.500
0.000 0.000 0.000
```


# 6
Entry from the Materials Project: a geometry-optimized MnGaN2 structure (GGA-PBE).

* symmetry: No. 51
* distance to the lowest polymorph of the same formula: 450 meV per atom
* spin magnetization: 2.61 μB/f.u.

```
MnGaN2
1.0
-1.291 2.618 0.000
0.000 0.000 -5.276
-4.986 -2.460 0.000
N Mn Ga
4 2 2
direct
0.500 0.750 0.665
0.500 0.250 0.335
0.000 0.750 0.240
0.000 0.250 0.760
0.000 0.000 0.500
0.000 0.500 0.500
0.000 0.750 0.909
0.000 0.250 0.091
```


# 7
Entry from the Materials Project: a geometry-optimized MnGaNi2 structure (GGA-PBE).

* symmetry: No. 123
* spin magnetization: 4.19 μB/f.u.

```
MnGaNi2
1.0
3.751 0.000 0.000
0.000 3.751 0.000
0.000 0.000 3.485
Mn Ni Ga
1 2 1
direct
0.000 0.000 0.000
0.000 0.500 0.500
0.500 0.000 0.500
0.500 0.500 0.000
```


# 8
Entry from the Materials Project: a geometry-optimized MnGaNi2 structure (GGA-PBE).

* symmetry: No. 12
* spin magnetization: 4.12 μB/f.u.

```
MnGaNi2
1.0
2.763 10.521 0.000
-2.763 10.521 0.000
0.000 0.814 4.070
Mn Ni Ga
5 10 5
direct
0.800 0.800 0.241
0.400 0.400 0.650
0.600 0.600 0.350
0.000 0.000 0.000
0.200 0.200 0.759
0.450 0.950 0.255
0.950 0.450 0.255
0.350 0.850 0.846
0.650 0.150 0.154
0.850 0.350 0.846
0.150 0.650 0.154
0.550 0.050 0.745
0.750 0.250 0.500
0.250 0.750 0.500
0.050 0.550 0.745
0.300 0.300 0.242
0.900 0.900 0.651
0.500 0.500 0.000
0.700 0.700 0.758
0.100 0.100 0.349
```


# 9
Entry from the Materials Project: a geometry-optimized MnGa2Ni structure (GGA-PBE).

* symmetry: No. 225
* spin magnetization: 3.07 μB/f.u.

```
MnGa2Ni
1.0
-0.388 -3.040 2.914
-1.827 0.855 3.717
-3.813 -1.594 0.899
Ga Ni Mn
2 1 1
direct
0.250 0.250 0.250
0.750 0.750 0.750
0.000 0.000 0.000
0.500 0.500 0.500
```


# 10
Entry from the Materials Project: a geometry-optimized MnGaNi2 structure (GGA-PBE).

* symmetry: No. 139

```
MnGaNi2
1.0
2.411 -2.194 -2.024
-0.402 4.064 -1.248
2.890 2.367 0.877
Ni Mn Ga
2 1 1
direct
0.750 0.500 0.750
0.250 0.500 0.250
0.500 0.000 0.500
0.000 0.000 0.000
```


# 11
Entry from the Materials Project: a geometry-optimized MnGaNi2 structure (GGA-PBE).

* symmetry: No. 225

```
MnGaNi2
1.0
-3.324 -1.217 -2.050
-3.005 2.661 -0.788
-0.632 1.297 -3.828
Ga Mn Ni
1 1 2
direct
0.000 0.000 0.000
0.500 0.500 0.500
0.250 0.250 0.250
0.750 0.750 0.750
```


# 12
Entry from the Materials Project: a geometry-optimized MnGaNi2 structure (GGA-PBE).

* symmetry: No. 58
* spin magnetization: 4.14 μB/f.u.

```
MnGaNi2
1.0
-1.467 3.115 2.431
2.890 -1.937 4.227
22.734 16.817 -7.835
Mn Ga Ni
14 14 28
direct
0.948 0.000 0.071
0.553 0.500 0.286
0.053 0.000 0.214
0.447 0.500 0.714
0.967 0.000 0.357
0.000 0.000 0.500
0.500 0.500 0.000
0.033 0.000 0.643
0.947 0.000 0.786
0.552 0.500 0.571
0.052 0.000 0.929
0.467 0.500 0.143
0.533 0.500 0.857
0.448 0.500 0.429
0.056 0.500 0.215
0.949 0.500 0.072
0.500 0.000 0.000
0.944 0.500 0.785
0.538 0.000 0.857
0.000 0.500 0.500
0.038 0.500 0.643
0.444 0.000 0.715
0.051 0.500 0.928
0.551 0.000 0.572
0.462 0.000 0.143
0.449 0.000 0.428
0.556 0.000 0.285
0.962 0.500 0.357
0.941 0.750 0.714
0.038 0.251 0.857
0.000 0.750 0.000
0.441 0.250 0.786
0.962 0.749 0.143
0.462 0.751 0.357
0.559 0.750 0.214
0.038 0.749 0.857
0.941 0.250 0.714
0.057 0.750 0.571
0.557 0.250 0.929
0.500 0.250 0.500
0.557 0.750 0.929
0.059 0.250 0.286
0.559 0.250 0.214
0.000 0.250 0.000
0.057 0.250 0.571
0.538 0.751 0.643
0.443 0.250 0.071
0.441 0.750 0.786
0.443 0.750 0.071
0.059 0.750 0.286
0.943 0.250 0.429
0.538 0.249 0.643
0.962 0.251 0.143
0.500 0.750 0.500
0.943 0.750 0.429
0.462 0.249 0.357
```


# 13
Entry from the Materials Project: a geometry-optimized MnGa2Ni9 structure (GGA-PBE).

* symmetry: No. 123

```
MnGa2Ni9
1.0
-0.875 0.414 3.440
2.583 -2.287 0.932
6.912 8.126 0.782
Ni Ga Mn
9 2 1
direct
0.000 0.500 0.500
0.500 0.500 0.331
0.500 0.000 0.500
0.500 0.000 0.838
0.500 0.500 0.000
0.500 0.000 0.162
0.000 0.500 0.838
0.500 0.500 0.669
0.000 0.500 0.162
0.000 0.000 0.667
0.000 0.000 0.333
0.000 0.000 0.000
```


# 14
Entry from the Materials Project: a geometry-optimized MnGaPd2 structure (GGA-PBE).

* symmetry: No. 99
* spin magnetization: 4.07 μB/f.u.

```
MnGaPd2
1.0
-3.270 0.495 -0.426
-0.653 -2.444 2.172
0.017 3.642 4.104
Ga Pd Mn
1 2 1
direct
0.000 0.000 0.982
0.500 0.500 0.778
0.000 0.000 0.477
0.500 0.500 0.262
```


# 15
Entry from the Materials Project: a geometry-optimized Mn5Ga4Pd3 structure (GGA-PBE).

* symmetry: No. 187
* spin magnetization: 16.63 μB/f.u.

```
Mn5Ga4Pd3
1.0
-1.737 3.231 -2.323
4.315 -0.397 0.276
-0.021 -6.274 -8.708
Mn Pd Ga
5 3 4
direct
0.000 0.000 0.747
0.667 0.333 0.125
0.000 0.000 0.246
0.000 0.000 0.004
0.000 0.000 0.503
0.667 0.333 0.625
0.333 0.667 0.878
0.333 0.667 0.372
0.667 0.333 0.875
0.667 0.333 0.375
0.333 0.667 0.125
0.333 0.667 0.625
```


| no. | formation energy from the elements (eV per atom) | final energy (eV per atom) |
| --- | --- | --- |
| 1 | -0.13 | -4.91 |
| 2 | -0.43 | -6.95 |
| 3 | -0.30 | -7.34 |
| 4 | -0.17 | -7.44 |
| 5 | -0.37 | -8.07 |
| 6 | 0.15 | -6.89 |
| 7 | -0.27 | -6.20 |
| 8 | -0.29 | -6.23 |
| 9 | -0.17 | -5.42 |
| 10 | -0.30 | -6.23 |
| 11 | -0.29 | -6.23 |
| 12 | -0.29 | -6.23 |
| 13 | -0.23 | -5.83 |
| 14 | -0.34 | -5.98 |
| 15 | -0.24 | -6.37 |